Below is crystalline Na7Zr3ZnSi3P3O24 at its relaxed geometry, with properties calculated at the PBE level.

Output
* symmetry: P1 (1)

a = 9.173 Å, b = 9.160 Å, c = 22.856 Å
α = 90.05°, β = 90.15°, γ = 120.04°
Element x y z (fractional)
O: 0.302 0.464 0.470
O: 0.506 0.875 0.360
Si: 0.665 0.041 0.086
O: 0.490 0.376 0.143
O: 0.128 0.487 0.859
Si: 0.961 0.335 0.586
O: 0.887 0.519 0.141
O: 0.124 0.630 0.359
Na: 0.969 0.290 0.415
P: 0.707 0.000 0.749
Zn: 0.999 0.999 0.353
O: 0.817 0.789 0.305
Na: 0.639 0.625 0.748
Na: 0.637 0.011 0.248
Si: 0.997 0.702 0.749
Na: 0.029 0.691 0.584
O: 0.843 0.543 0.032
Na: 0.327 0.657 0.664
O: 0.853 0.354 0.922
Si: 0.332 0.368 0.415
Zn: 0.678 0.344 0.680
Na: 0.371 0.008 0.746
O: 0.532 0.837 0.756
Na: 0.710 0.679 0.414
O: 0.504 0.359 0.423
Na: 0.334 0.304 0.918
Na: 0.991 0.998 0.997
Si: 0.038 0.669 0.417
O: 0.145 0.506 0.578
O: 0.538 0.842 0.474
O: 0.347 0.497 0.078
O: 0.854 0.497 0.423
Zr: 0.673 0.332 0.980
O: 0.370 0.492 0.358
O: 0.824 0.028 0.802
O: 0.358 0.876 0.862
O: 0.792 0.818 0.196
Zr: 0.989 0.990 0.854
Zr: 0.000 0.004 0.149
Si: 0.035 0.370 0.917
O: 0.530 0.692 0.254
Na: 0.321 0.031 0.414
O: 0.704 0.165 0.030
Na: 0.337 0.668 0.166
Zr: 0.327 0.663 0.817
Zn: 0.659 0.328 0.177
O: 0.832 0.016 0.091
O: 0.181 0.972 0.196
O: 0.159 0.698 0.474
O: 0.638 0.144 0.422
P: 0.708 0.705 0.251
O: 0.033 0.826 0.692
O: 0.829 0.804 0.590
P: 0.294 0.001 0.252
Na: 0.311 0.975 0.084
O: 0.027 0.209 0.196
O: 0.632 0.490 0.923
Si: 0.630 0.961 0.417
O: 0.209 0.183 0.806
Na: 0.029 0.333 0.082
Na: 0.374 0.363 0.248
Zr: 0.339 0.665 0.016
O: 0.187 0.163 0.091
P: 0.998 0.294 0.252
Si: 0.629 0.666 0.916
P: 0.377 0.043 0.585
O: 0.194 0.016 0.590
O: 0.471 0.157 0.246
O: 0.164 0.472 0.254
P: 0.958 0.624 0.085
O: 0.307 0.852 0.972
O: 0.175 0.207 0.698
O: 0.844 0.318 0.244
O: 0.138 0.650 0.076
O: 0.790 0.970 0.695
Zr: 0.669 0.331 0.481
O: 0.483 0.121 0.640
O: 0.156 0.460 0.974
O: 0.688 0.528 0.245
O: 0.357 0.864 0.578
O: 0.036 0.193 0.910
P: 0.664 0.625 0.586
P: 0.294 0.292 0.751
O: 0.210 0.027 0.305
Zr: 0.008 0.006 0.647
Na: 0.990 0.628 0.249
Na: 0.662 0.693 0.084
O: 0.490 0.139 0.922
O: 0.813 0.834 0.912
O: 0.971 0.184 0.305
Na: 0.005 0.009 0.493
O: 0.179 0.985 0.910
Zr: 0.329 0.657 0.517
O: 0.457 0.149 0.530
O: 0.969 0.159 0.590
Na: 0.987 0.367 0.746
O: 0.467 0.308 0.745
O: 0.685 0.155 0.745
P: 0.333 0.960 0.917
Si: 0.377 0.334 0.085
O: 0.172 0.693 0.755
O: 0.842 0.301 0.527
O: 0.695 0.545 0.531
O: 0.021 0.835 0.412
O: 0.540 0.694 0.974
O: 0.812 0.979 0.412
Na: 0.666 0.333 0.332
O: 0.310 0.471 0.755
O: 0.630 0.116 0.145
Na: 0.680 0.341 0.833
Zr: 0.334 0.667 0.318
O: 0.509 0.637 0.859
O: 0.165 0.186 0.411
O: 0.497 0.853 0.078
O: 0.516 0.658 0.578
O: 0.974 0.804 0.803
O: 0.830 0.519 0.747
O: 0.307 0.836 0.254
Na: 0.667 0.972 0.582
O: 0.637 0.521 0.641
O: 0.458 0.298 0.027
O: 0.883 0.370 0.643
O: 0.977 0.804 0.091



Below is crystalline Na7Zr2Zn2SiP5O24 at its relaxed geometry, with properties calculated at the PBE level.

Output
* symmetry: P1 (1)

a = 9.121 Å, b = 9.115 Å, c = 22.577 Å
α = 90.20°, β = 89.63°, γ = 120.08°
Element x y z (fractional)
O: 0.788 0.966 0.690
O: 0.192 0.181 0.090
O: 0.840 0.313 0.246
O: 0.512 0.876 0.363
Na: 0.359 0.372 0.253
P: 0.669 0.040 0.080
O: 0.119 0.637 0.359
O: 0.305 0.455 0.470
O: 0.497 0.138 0.923
O: 0.848 0.548 0.023
Zr: 0.337 0.671 0.516
Na: 0.679 0.973 0.589
O: 0.485 0.342 0.419
Na: 0.011 0.639 0.252
Zn: 0.000 0.998 0.653
Na: 0.009 0.370 0.753
Na: 0.341 0.677 0.174
O: 0.168 0.969 0.912
O: 0.364 0.499 0.077
P: 0.293 0.997 0.249
O: 0.987 0.822 0.088
O: 0.821 0.807 0.587
O: 0.501 0.637 0.577
Na: 0.293 0.315 0.584
O: 0.177 0.013 0.588
O: 0.352 0.475 0.358
Zr: 0.993 0.994 0.351
O: 0.822 0.795 0.301
P: 0.961 0.333 0.580
O: 0.653 0.143 0.420
O: 0.158 0.473 0.254
Zn: 0.662 0.340 0.987
O: 0.031 0.832 0.411
O: 0.027 0.212 0.193
O: 0.206 0.026 0.305
O: 0.123 0.482 0.860
Na: 0.628 0.645 0.752
Zn: 0.342 0.673 0.820
Zn: 0.344 0.675 0.319
O: 0.353 0.848 0.578
P: 0.337 0.965 0.915
Si: 0.961 0.632 0.081
O: 0.468 0.166 0.245
Na: 0.957 0.652 0.922
O: 0.853 0.308 0.526
O: 0.454 0.297 0.030
Zr: 0.330 0.664 0.017
O: 0.513 0.833 0.754
Na: 0.997 0.992 0.506
O: 0.808 0.831 0.911
O: 0.827 0.033 0.807
O: 0.881 0.367 0.637
O: 0.313 0.473 0.756
P: 0.628 0.964 0.415
Na: 0.026 0.323 0.087
O: 0.545 0.694 0.970
P: 0.336 0.372 0.413
P: 0.700 0.705 0.247
O: 0.700 0.543 0.529
P: 0.294 0.297 0.748
P: 0.038 0.373 0.914
Na: 0.665 0.334 0.340
O: 0.190 0.219 0.692
P: 0.036 0.662 0.415
O: 0.977 0.183 0.305
O: 0.485 0.363 0.140
P: 0.002 0.706 0.749
O: 0.154 0.679 0.756
P: 0.668 0.627 0.582
O: 0.142 0.497 0.577
P: 0.628 0.662 0.914
O: 0.874 0.507 0.140
Na: 0.028 0.711 0.586
Si: 0.703 0.996 0.748
O: 0.983 0.177 0.587
O: 0.188 0.972 0.193
Na: 0.363 0.985 0.752
O: 0.859 0.349 0.920
O: 0.863 0.503 0.423
Na: 0.685 0.706 0.085
O: 0.362 0.883 0.860
Zr: 0.664 0.325 0.684
O: 0.973 0.792 0.805
O: 0.166 0.192 0.410
O: 0.033 0.814 0.694
Si: 0.365 0.037 0.581
O: 0.695 0.146 0.024
O: 0.020 0.192 0.912
Zn: 0.659 0.337 0.486
Zr: 0.671 0.330 0.185
O: 0.208 0.176 0.802
O: 0.834 0.529 0.745
O: 0.548 0.855 0.473
Na: 0.008 0.003 0.006
O: 0.520 0.673 0.255
Zr: 0.002 0.006 0.851
O: 0.153 0.695 0.470
O: 0.151 0.645 0.078
Na: 0.349 0.043 0.421
O: 0.489 0.123 0.640
P: 0.373 0.331 0.083
O: 0.450 0.152 0.523
Na: 0.289 0.972 0.086
O: 0.693 0.175 0.746
O: 0.636 0.517 0.639
O: 0.809 0.983 0.410
O: 0.825 0.021 0.089
O: 0.690 0.526 0.245
O: 0.307 0.848 0.971
Na: 0.961 0.307 0.419
Zn: 0.998 0.992 0.153
Na: 0.693 0.039 0.918
O: 0.781 0.806 0.191
P: 0.002 0.294 0.248
O: 0.306 0.836 0.256
Na: 0.657 0.331 0.841
O: 0.658 0.512 0.919
O: 0.526 0.645 0.859
O: 0.633 0.125 0.135
O: 0.475 0.315 0.745
O: 0.505 0.859 0.077
Na: 0.339 0.673 0.673
O: 0.148 0.459 0.971



Below is crystalline Na5Zr4Si3P3O24 at its relaxed geometry, with properties calculated at the PBE level.

Output
* symmetry: P1 (1)

a = 9.139 Å, b = 9.145 Å, c = 23.292 Å
α = 90.02°, β = 89.98°, γ = 119.97°
Element x y z (fractional)
O: 0.531 0.690 0.256
O: 0.488 0.349 0.422
O: 0.460 0.295 0.029
Si: 0.706 0.001 0.749
O: 0.128 0.635 0.360
Na: 0.344 0.660 0.168
O: 0.148 0.646 0.077
Zr: 0.989 0.995 0.351
P: 0.042 0.376 0.917
O: 0.166 0.488 0.254
O: 0.872 0.363 0.635
P: 0.290 0.292 0.750
O: 0.822 0.791 0.302
Si: 0.628 0.961 0.417
O: 0.644 0.148 0.422
Zr: 0.340 0.671 0.518
Na: 0.035 0.338 0.085
Na: 0.662 0.964 0.585
O: 0.180 0.011 0.589
O: 0.990 0.819 0.089
O: 0.970 0.171 0.590
P: 0.666 0.043 0.083
O: 0.874 0.506 0.139
O: 0.207 0.022 0.305
O: 0.352 0.851 0.578
O: 0.505 0.868 0.076
Zr: 0.666 0.341 0.482
O: 0.677 0.165 0.746
O: 0.182 0.205 0.697
O: 0.185 0.164 0.090
O: 0.461 0.153 0.525
O: 0.836 0.816 0.590
O: 0.180 0.971 0.197
O: 0.979 0.795 0.805
O: 0.157 0.696 0.474
P: 0.706 0.707 0.249
O: 0.543 0.848 0.475
Na: 0.298 0.969 0.081
O: 0.156 0.966 0.910
O: 0.031 0.820 0.697
Si: 0.372 0.042 0.583
O: 0.828 0.029 0.090
Na: 0.998 0.999 0.999
Na: 0.031 0.701 0.581
O: 0.834 0.322 0.246
O: 0.821 0.991 0.412
Si: 0.334 0.962 0.916
O: 0.698 0.534 0.244
Si: 0.957 0.626 0.082
O: 0.705 0.542 0.529
O: 0.354 0.865 0.859
O: 0.653 0.512 0.922
O: 0.541 0.691 0.970
O: 0.132 0.491 0.865
Zr: 0.666 0.333 0.185
O: 0.206 0.176 0.803
O: 0.308 0.467 0.757
O: 0.827 0.023 0.804
O: 0.869 0.367 0.923
O: 0.469 0.157 0.244
Zr: 0.999 0.001 0.649
P: 0.333 0.375 0.416
Na: 0.666 0.332 0.333
O: 0.359 0.486 0.363
O: 0.795 0.818 0.196
O: 0.303 0.842 0.973
O: 0.504 0.147 0.921
Na: 0.998 0.993 0.500
Na: 0.965 0.302 0.414
Si: 0.040 0.667 0.417
O: 0.302 0.836 0.256
Zr: 0.334 0.666 0.018
O: 0.163 0.696 0.757
Na: 0.335 0.028 0.417
Zr: 0.666 0.335 0.686
O: 0.037 0.845 0.410
O: 0.843 0.532 0.745
Zr: 0.342 0.671 0.814
O: 0.699 0.158 0.030
P: 0.627 0.667 0.916
Zr: 0.999 0.001 0.148
Si: 0.000 0.296 0.250
O: 0.793 0.976 0.691
P: 0.958 0.334 0.583
P: 0.999 0.708 0.751
O: 0.502 0.867 0.363
O: 0.174 0.196 0.409
O: 0.301 0.456 0.469
Si: 0.374 0.336 0.085
O: 0.344 0.496 0.077
O: 0.978 0.181 0.307
Si: 0.665 0.626 0.585
O: 0.465 0.302 0.744
O: 0.022 0.204 0.192
Na: 0.369 0.000 0.751
O: 0.494 0.127 0.640
O: 0.514 0.834 0.755
Zr: 0.655 0.328 0.981
O: 0.807 0.824 0.910
Na: 0.972 0.669 0.918
Zr: 0.334 0.665 0.315
O: 0.492 0.358 0.140
O: 0.149 0.456 0.972
O: 0.847 0.536 0.024
Na: 0.001 0.630 0.250
Na: 0.665 0.326 0.834
O: 0.634 0.124 0.136
Na: 0.339 0.655 0.667
O: 0.501 0.653 0.579
Zr: 0.999 0.008 0.852
O: 0.848 0.302 0.528
O: 0.515 0.641 0.863
P: 0.293 0.001 0.251
O: 0.644 0.509 0.640
O: 0.132 0.495 0.577
O: 0.023 0.199 0.911
O: 0.858 0.492 0.422



no.,total DFT energy (no corrections) (eV per atom)
1,-7.10
2,-6.75
3,-7.64